VASP calculation (GGA+U) on an optimized crystal structure of Fe3O2F6.

Summary:
Energy relative to the elements, eV/atom: -2.182
Raw total energy, eV per atom: -5.444
V, Å³/cell: 267.85
Corrected total energy (MP2020 scheme), eV/f.u.: -70.798

Cell: 5.6240 4.7650 10.0154 Å, 90.00 93.64 90.00°
Closest atoms and distances in Å follow each position.
Sites, in units of the cell vectors:
1 Fe 0.0000 0.0000 0.0000  2 O 1.90, 4 F 1.93-1.98
2 Fe 0.0000 0.5000 0.5000  2 O 1.90, 4 F 1.93-1.98
3 Fe 0.2440 0.0201 0.7394  4 F 1.94-2.01, 2 O 2.00-2.03
4 Fe 0.2440 0.4799 0.2394  4 F 1.94-2.01, 2 O 2.00-2.03
5 Fe 0.7560 0.5201 0.7606  4 F 1.94-2.01, 2 O 2.00-2.03
6 Fe 0.7560 0.9799 0.2606  4 F 1.94-2.01, 2 O 2.00-2.03
7 O 0.0198 0.1804 0.1700  3 Fe 1.90-2.03
8 O 0.0198 0.3196 0.6700  3 Fe 1.90-2.03
9 O 0.9802 0.6804 0.3300  3 Fe 1.90-2.03
10 O 0.9802 0.8196 0.8300  3 Fe 1.90-2.03
11 F 0.2070 0.6970 0.0756  2 Fe 1.94-1.98
12 F 0.2070 0.8030 0.5756  2 Fe 1.94-1.98
13 F 0.2630 0.1884 0.9237  2 Fe 1.93-2.01
14 F 0.2630 0.3116 0.4237  2 Fe 1.93-2.01
15 F 0.4799 0.7370 0.8081  2 Fe 1.95-1.98
16 F 0.4799 0.7630 0.3081  2 Fe 1.95-1.98
17 F 0.5201 0.2370 0.6919  2 Fe 1.95-1.98
18 F 0.5201 0.2630 0.1919  2 Fe 1.95-1.98
19 F 0.7370 0.6884 0.5763  2 Fe 1.93-2.01
20 F 0.7370 0.8116 0.0763  2 Fe 1.93-2.01
21 F 0.7930 0.1970 0.4244  2 Fe 1.94-1.98
22 F 0.7930 0.3030 0.9244  2 Fe 1.94-1.98

=====

VASP calculation (GGA+U) on an optimized crystal structure of CsErMo2O8.

Summary:
Energy relative to the elements, eV/atom: -2.548
Raw total energy, eV per atom: -7.118
V, Å³/cell: 397.11
Corrected total energy (MP2020 scheme), eV/f.u.: -97.317

Cell: 5.0883 9.6282 8.1058 Å, 90.00 90.00 90.00°
Closest atoms and distances in Å follow each position.
Sites, in units of the cell vectors:
1 Cs 0.0000 0.0000 0.2500  8 O 3.12-3.36
2 Cs 0.0000 0.0000 0.7500  8 O 3.12-3.36
3 Er 0.0000 0.5000 0.2500  8 O 2.29-2.47
4 Er 0.0000 0.5000 0.7500  8 O 2.29-2.47
5 Mo 0.4772 0.3060 0.0000  4 O 1.75-1.87
6 Mo 0.4772 0.6940 0.5000  4 O 1.75-1.87
7 Mo 0.5228 0.3060 0.5000  4 O 1.75-1.87
8 Mo 0.5228 0.6940 0.0000  4 O 1.75-1.87
9 O 0.2474 0.4344 0.5000  1 Mo 1.87
10 O 0.2474 0.5656 0.0000  1 Mo 1.87
11 O 0.2578 0.3155 0.1757  1 Mo 1.81
12 O 0.2578 0.3155 0.8243  1 Mo 1.81
13 O 0.2578 0.6845 0.3243  1 Mo 1.81
14 O 0.2578 0.6845 0.6757  1 Mo 1.81
15 O 0.3864 0.1389 0.5000  1 Mo 1.75
16 O 0.3864 0.8611 0.0000  1 Mo 1.75
17 O 0.6136 0.1389 0.0000  1 Mo 1.75
18 O 0.6136 0.8611 0.5000  1 Mo 1.75
19 O 0.7422 0.3155 0.3243  1 Mo 1.81
20 O 0.7422 0.3155 0.6757  1 Mo 1.81
21 O 0.7422 0.6845 0.1757  1 Mo 1.81
22 O 0.7422 0.6845 0.8243  1 Mo 1.81
23 O 0.7526 0.4344 0.0000  1 Mo 1.87
24 O 0.7526 0.5656 0.5000  1 Mo 1.87

=====

VASP calculation (GGA+U) on an optimized crystal structure of Li9Mn2Co5O16.

Summary:
Excess energy over the best structure of this formula in the dataset, eV per formula unit: 1.777
Energy relative to the elements, eV/atom: -1.809
Raw total energy, eV per atom: -5.799
V, Å³/cell: 289.80
Corrected total energy (MP2020 scheme), eV/f.u.: -208.089

Cell: 10.2676 2.9055 10.3421 Å, 90.00 110.06 90.00°
Closest atoms and distances in Å follow each position.
Sites, in units of the cell vectors:
1 Li 0.0000 0.0000 0.0000  6 O 2.06-2.30
2 Li 0.0010 0.0000 0.4667  5 O 2.07-2.20
3 Li 0.2397 0.5000 0.4800  5 O 2.01-2.18
4 Li 0.2431 0.5000 0.9860  6 O 2.02-2.20
5 Li 0.4884 0.0000 0.4757  6 O 2.09-2.26
6 Li 0.4959 0.0000 0.9854  5 O 2.07-2.14
7 Li 0.7510 0.5000 0.4758  6 O 1.99-2.19
8 Li 0.7517 0.5000 0.9882  5 O 1.99-2.21
9 Li 0.9974 0.5000 0.2322  6 O 2.11-2.16
10 Mn 0.4969 0.5000 0.2324  6 O 1.95-1.96
11 Mn 0.7465 0.0000 0.7304  6 O 1.95-1.96
12 Co 0.0012 0.5000 0.7318  6 O 1.96-2.15
13 Co 0.2289 0.0000 0.2393  3 O 1.79-1.97
14 Co 0.2497 0.0000 0.7340  6 O 2.00-2.11
15 Co 0.4943 0.5000 0.7318  6 O 1.99-2.19
16 Co 0.7647 0.0000 0.2249  3 O 1.79-1.97
17 O 0.1117 0.0000 0.8451  3 Co 1.96-2.11, 2 Li 2.17
18 O 0.1259 0.5000 0.6187  3 Co 2.01-2.03, 3 Li 2.14-2.20
19 O 0.1331 0.0000 0.3544  1 Co 1.79
20 O 0.1329 0.5000 0.1140  2 Co 1.97, 4 Li 2.02-2.14
21 O 0.3629 0.5000 0.8525  3 Co 2.00-2.13, 3 Li 2.14
22 O 0.3735 0.5000 0.3393  1 Mn 1.95, 2 Co 2.08, 2 Li 2.09
23 O 0.3766 0.0000 0.6188  3 Co 1.99-2.04, 3 Li 2.16-2.18
24 O 0.3879 0.0000 0.1216  2 Mn 1.95, 1 Li 2.07
25 O 0.6059 0.0000 0.3449  2 Mn 1.96, 3 Li 2.10-2.19
26 O 0.6213 0.5000 0.1253  1 Mn 1.96, 2 Co 2.07, 2 Li 2.14
27 O 0.6223 0.0000 0.8376  1 Mn 1.96, 2 Co 2.01
28 O 0.6392 0.5000 0.6179  2 Mn 1.95, 1 Li 2.15
29 O 0.8575 0.5000 0.8414  2 Mn 1.96, 1 Co 2.15, 1 Li 2.15
30 O 0.8602 0.0000 0.1088  1 Co 1.79, 2 Li 1.99
31 O 0.8603 0.5000 0.3502  2 Co 1.97, 4 Li 1.99-2.16
32 O 0.8720 0.0000 0.6249  1 Mn 1.95, 2 Co 2.02, 2 Li 2.17

=====

VASP calculation (GGA+U) on an optimized crystal structure of Mg5Co19O32.

Summary:
Energy relative to the elements, eV/atom: -1.669
Raw total energy, eV per atom: -6.103
V, Å³/cell: 544.03
Corrected total energy (MP2020 scheme), eV/f.u.: -394.866

Cell: 19.1435 19.1435 19.1435 Å, 17.34 17.34 17.34°
Closest atoms and distances in Å follow each position.
Sites, in units of the cell vectors:
1 Mg 0.0000 0.0000 0.0000  4 O 1.96-1.97
2 Mg 0.0627 0.0627 0.0627  4 O 1.96-1.97
3 Mg 0.2502 0.2502 0.2502  4 O 1.96-1.97
4 Mg 0.5625 0.5625 0.5625  4 O 1.97
5 Mg 0.8126 0.8126 0.8126  4 O 1.97
6 Co 0.0310 0.0310 0.5320  6 O 1.93-1.94
7 Co 0.0314 0.5314 0.5314  6 O 1.93-1.94
8 Co 0.0310 0.5320 0.0310  6 O 1.93-1.94
9 Co 0.1563 0.1563 0.1563  6 O 1.93-1.94
10 Co 0.2810 0.2810 0.7822  6 O 1.93-1.94
11 Co 0.2810 0.7822 0.2810  6 O 1.93-1.94
12 Co 0.2807 0.7817 0.7817  6 O 1.93-1.94
13 Co 0.3126 0.3126 0.3126  4 O 1.95-1.96
14 Co 0.4062 0.4062 0.4062  6 O 1.93-1.94
15 Co 0.5001 0.5001 0.5001  4 O 1.96
16 Co 0.5314 0.0314 0.5314  6 O 1.93-1.94
17 Co 0.5314 0.5314 0.0314  6 O 1.93-1.94
18 Co 0.5320 0.0310 0.0310  6 O 1.93-1.94
19 Co 0.6565 0.6565 0.6565  6 O 1.93-1.94
20 Co 0.7502 0.7502 0.7502  4 O 1.95-1.96
21 Co 0.7822 0.2810 0.2810  6 O 1.93-1.94
22 Co 0.7817 0.2807 0.7817  6 O 1.93-1.94
23 Co 0.7817 0.7817 0.2807  6 O 1.93-1.94
24 Co 0.9063 0.9063 0.9063  6 O 1.93
25 O 0.0762 0.0762 0.6327  3 Co 1.93, 1 Mg 1.96
26 O 0.0762 0.6327 0.0762  3 Co 1.93, 1 Mg 1.96
27 O 0.0974 0.0974 0.0974  3 Co 1.93, 1 Mg 1.96
28 O 0.1312 0.5769 0.5769  4 Co 1.94-1.96
29 O 0.1801 0.7365 0.7365  3 Co 1.93, 1 Mg 1.97
30 O 0.2153 0.2153 0.2153  3 Co 1.94, 1 Mg 1.97
31 O 0.2365 0.2365 0.6799  3 Co 1.93, 1 Mg 1.97
32 O 0.2365 0.6799 0.2365  3 Co 1.93, 1 Mg 1.97
33 O 0.3270 0.3270 0.8809  4 Co 1.94-1.96
34 O 0.3270 0.8809 0.3270  4 Co 1.94-1.96
35 O 0.3471 0.3471 0.3471  4 Co 1.94-1.95
36 O 0.3827 0.8263 0.8263  3 Co 1.93, 1 Mg 1.97
37 O 0.4298 0.9866 0.9866  3 Co 1.93, 1 Mg 1.97
38 O 0.4655 0.4655 0.4655  4 Co 1.94-1.96
39 O 0.4858 0.4858 0.9318  4 Co 1.94-1.96
40 O 0.4858 0.9318 0.4858  4 Co 1.94-1.96
41 O 0.5769 0.1312 0.5769  4 Co 1.94-1.96
42 O 0.5769 0.5769 0.1312  4 Co 1.94-1.96
43 O 0.5974 0.5974 0.5974  3 Co 1.94, 1 Mg 1.97
44 O 0.6327 0.0762 0.0762  3 Co 1.93, 1 Mg 1.96
45 O 0.6799 0.2365 0.2365  3 Co 1.93, 1 Mg 1.97
46 O 0.7156 0.7156 0.7156  4 Co 1.94-1.95
47 O 0.7365 0.1801 0.7365  3 Co 1.93, 1 Mg 1.97
48 O 0.7365 0.7365 0.1801  3 Co 1.93, 1 Mg 1.97
49 O 0.8263 0.3827 0.8263  3 Co 1.93, 1 Mg 1.97
50 O 0.8263 0.8263 0.3827  3 Co 1.93, 1 Mg 1.97
51 O 0.8474 0.8474 0.8474  3 Co 1.93, 1 Mg 1.97
52 O 0.8809 0.3270 0.3270  4 Co 1.94-1.96
53 O 0.9318 0.4858 0.4858  4 Co 1.94-1.96
54 O 0.9653 0.9653 0.9653  3 Co 1.93, 1 Mg 1.96
55 O 0.9866 0.4298 0.9866  3 Co 1.93, 1 Mg 1.97
56 O 0.9866 0.9866 0.4298  3 Co 1.93, 1 Mg 1.97

=====

VASP calculation (GGA+U) on an optimized crystal structure of Li3MoP8O24.

Summary:
Energy relative to the elements, eV/atom: -2.524
Raw total energy, eV per atom: -6.939
V, Å³/cell: 441.84
Corrected total energy (MP2020 scheme), eV/f.u.: -269.487

Cell: 7.3153 7.3153 10.1134 Å, 113.73 113.73 69.42°
Closest atoms and distances in Å follow each position.
Sites, in units of the cell vectors:
1 Li 0.0000 0.0000 0.0000  6 O 2.00-2.16
2 Li 0.4055 0.0346 0.2126  4 O 1.93-2.07
3 Li 0.9654 0.5945 0.7874  4 O 1.93-2.07
4 Mo 0.9002 0.0998 0.5000  6 O 1.98-2.04
5 P 0.2137 0.7788 0.2731  4 O 1.47-1.63
6 P 0.2212 0.7863 0.7269  4 O 1.47-1.63
7 P 0.2418 0.3598 0.0561  3 O 1.48-1.65
8 P 0.2652 0.3350 0.5439  4 O 1.47-1.61
9 P 0.6402 0.7582 0.9439  3 O 1.48-1.65
10 P 0.6650 0.7348 0.4561  4 O 1.47-1.61
11 P 0.6812 0.2928 0.7746  4 O 1.46-1.61
12 P 0.7072 0.3188 0.2254  4 O 1.46-1.61
13 O 0.0424 0.8996 0.3504  1 P 1.55
14 O 0.0773 0.2972 0.5563  1 P 1.55
15 O 0.1004 0.9576 0.6496  1 P 1.55
16 O 0.1441 0.7692 0.8344  1 P 1.47
17 O 0.1463 0.4155 0.9138  1 P 1.48
18 O 0.1834 0.5517 0.2034  2 P 1.58-1.67
19 O 0.2149 0.1765 0.0683  1 P 1.48
20 O 0.2288 0.5794 0.5828  2 P 1.61-1.63
21 O 0.2308 0.8559 0.1656  1 P 1.47
22 O 0.3154 0.2313 0.4008  1 P 1.47
23 O 0.4206 0.7712 0.4172  2 P 1.61-1.63
24 O 0.4457 0.2761 0.6856  2 P 1.60-1.61
25 O 0.4483 0.8166 0.7966  2 P 1.58-1.67
26 O 0.4898 0.3444 0.1053  2 P 1.57-1.65
27 O 0.5845 0.8537 0.0862  1 P 1.48
28 O 0.6556 0.5102 0.8947  2 P 1.57-1.65
29 O 0.7001 0.2302 0.3424  1 P 1.59
30 O 0.7028 0.9227 0.4437  1 P 1.55
31 O 0.7239 0.5543 0.3144  2 P 1.60-1.61
32 O 0.7687 0.6846 0.5992  1 P 1.47
33 O 0.7698 0.2999 0.6576  1 P 1.59
34 O 0.7920 0.1233 0.8388  1 P 1.46
35 O 0.8235 0.7851 0.9317  1 P 1.48
36 O 0.8767 0.2080 0.1612  1 P 1.46

=====

> What is the raw total energy in the third record?

-5.799 eV per atom

=====

Copy entry 3 word for word.
VASP calculation (GGA+U) on an optimized crystal structure of Li9Mn2Co5O16.

Summary:
Excess energy over the best structure of this formula in the dataset, eV per formula unit: 1.777
Energy relative to the elements, eV/atom: -1.809
Raw total energy, eV per atom: -5.799
V, Å³/cell: 289.80
Corrected total energy (MP2020 scheme), eV/f.u.: -208.089

Cell: 10.2676 2.9055 10.3421 Å, 90.00 110.06 90.00°
Closest atoms and distances in Å follow each position.
Sites, in units of the cell vectors:
1 Li 0.0000 0.0000 0.0000  6 O 2.06-2.30
2 Li 0.0010 0.0000 0.4667  5 O 2.07-2.20
3 Li 0.2397 0.5000 0.4800  5 O 2.01-2.18
4 Li 0.2431 0.5000 0.9860  6 O 2.02-2.20
5 Li 0.4884 0.0000 0.4757  6 O 2.09-2.26
6 Li 0.4959 0.0000 0.9854  5 O 2.07-2.14
7 Li 0.7510 0.5000 0.4758  6 O 1.99-2.19
8 Li 0.7517 0.5000 0.9882  5 O 1.99-2.21
9 Li 0.9974 0.5000 0.2322  6 O 2.11-2.16
10 Mn 0.4969 0.5000 0.2324  6 O 1.95-1.96
11 Mn 0.7465 0.0000 0.7304  6 O 1.95-1.96
12 Co 0.0012 0.5000 0.7318  6 O 1.96-2.15
13 Co 0.2289 0.0000 0.2393  3 O 1.79-1.97
14 Co 0.2497 0.0000 0.7340  6 O 2.00-2.11
15 Co 0.4943 0.5000 0.7318  6 O 1.99-2.19
16 Co 0.7647 0.0000 0.2249  3 O 1.79-1.97
17 O 0.1117 0.0000 0.8451  3 Co 1.96-2.11, 2 Li 2.17
18 O 0.1259 0.5000 0.6187  3 Co 2.01-2.03, 3 Li 2.14-2.20
19 O 0.1331 0.0000 0.3544  1 Co 1.79
20 O 0.1329 0.5000 0.1140  2 Co 1.97, 4 Li 2.02-2.14
21 O 0.3629 0.5000 0.8525  3 Co 2.00-2.13, 3 Li 2.14
22 O 0.3735 0.5000 0.3393  1 Mn 1.95, 2 Co 2.08, 2 Li 2.09
23 O 0.3766 0.0000 0.6188  3 Co 1.99-2.04, 3 Li 2.16-2.18
24 O 0.3879 0.0000 0.1216  2 Mn 1.95, 1 Li 2.07
25 O 0.6059 0.0000 0.3449  2 Mn 1.96, 3 Li 2.10-2.19
26 O 0.6213 0.5000 0.1253  1 Mn 1.96, 2 Co 2.07, 2 Li 2.14
27 O 0.6223 0.0000 0.8376  1 Mn 1.96, 2 Co 2.01
28 O 0.6392 0.5000 0.6179  2 Mn 1.95, 1 Li 2.15
29 O 0.8575 0.5000 0.8414  2 Mn 1.96, 1 Co 2.15, 1 Li 2.15
30 O 0.8602 0.0000 0.1088  1 Co 1.79, 2 Li 1.99
31 O 0.8603 0.5000 0.3502  2 Co 1.97, 4 Li 1.99-2.16
32 O 0.8720 0.0000 0.6249  1 Mn 1.95, 2 Co 2.02, 2 Li 2.17

=====

> The lowest raw total energy belongs to which entry?

CsErMo2O8